(1)
Material: HoNiSb2
Method: DFT, GGA-PBE
State: relaxed

Cell: 4.3708 4.3708 9.3284 Å, 90.00 90.00 90.00°
Sites, in units of the cell vectors:
Ho (0.2500, 0.2500, 0.2385)
Ho (0.7500, 0.7500, 0.7615)
Ni (0.2500, 0.7500, 0.0000)
Ni (0.7500, 0.2500, 0.0000)
Sb (0.2500, 0.2500, 0.8561)
Sb (0.2500, 0.7500, 0.5000)
Sb (0.7500, 0.2500, 0.5000)
Sb (0.7500, 0.7500, 0.1439)

Summary:
V, Å³/atom: 22.3
Calculated formation energy, eV/atom: -0.762
E_tot, eV/atom: -5.321

(2)
Material: GaGeMo4S8
Method: DFT, GGA-PBE
State: relaxed

Cell: 7.5076 7.5076 7.5076 Å, 60.00 60.00 60.00°
Sites, in units of the cell vectors:
Ga (0.0000, 0.0000, 0.0000)
Ge (0.7500, 0.7500, 0.7500)
Mo (0.2197, 0.5934, 0.5934)
Mo (0.5934, 0.2197, 0.5934)
Mo (0.5934, 0.5934, 0.2197)
Mo (0.5934, 0.5934, 0.5934)
S (0.3757, 0.3757, 0.3757)
S (0.3757, 0.3757, 0.8728)
S (0.3757, 0.8728, 0.3757)
S (0.3814, 0.8729, 0.8729)
S (0.8728, 0.3757, 0.3757)
S (0.8729, 0.3814, 0.8729)
S (0.8729, 0.8729, 0.3814)
S (0.8729, 0.8729, 0.8729)

Summary:
V, Å³/atom: 21.4
Calculated formation energy, eV/atom: -0.599
E_tot, eV/atom: -6.320

(3)
Material: GdErO3
Method: DFT, GGA-PBE
State: relaxed

Cell: 4.2411 4.2411 4.2411 Å, 90.00 90.00 90.00°
Sites, in units of the cell vectors:
Gd (0.0000, 0.0000, 0.0000)
Er (0.5000, 0.5000, 0.5000)
O (0.0000, 0.5000, 0.5000)
O (0.5000, 0.0000, 0.5000)
O (0.5000, 0.5000, 0.0000)

Summary:
V, Å³/atom: 15.3
Calculated formation energy, eV/atom: -3.241
E_tot, eV/atom: -9.527

(4)
Material: VTe2
Method: DFT, GGA-PBE
State: relaxed

Cell: 7.6256 7.6256 9.3661 Å, 111.79 111.79 27.12°
Sites, in units of the cell vectors:
V (0.0000, 0.0000, 0.0000)
V (0.3615, 0.3615, 0.7091)
V (0.6385, 0.6385, 0.2909)
Te (0.0096, 0.0096, 0.3011)
Te (0.2904, 0.2904, 0.3854)
Te (0.3567, 0.3567, 0.9800)
Te (0.6433, 0.6433, 0.0200)
Te (0.7096, 0.7096, 0.6146)
Te (0.9904, 0.9904, 0.6989)

Summary:
V, Å³/atom: 25.5
Calculated formation energy, eV/atom: -0.608
E_tot, eV/atom: -5.450

(5)
Material: Mg2Co3Sn10
Method: DFT, GGA-PBE
State: relaxed

Cell: 9.4825 9.4825 34.1679 Å, 90.16 90.16 60.16°
Sites, in units of the cell vectors:
Mg (0.0000, 0.0000, 0.0000)
Mg (0.0004, 0.0004, 0.1012)
Mg (0.0002, 0.5174, 0.0001)
Mg (0.0016, 0.5161, 0.1016)
Mg (0.3434, 0.8297, 0.4985)
Mg (0.3438, 0.3438, 0.4987)
Mg (0.3444, 0.8283, 0.6005)
Mg (0.3446, 0.3446, 0.6005)
Mg (0.5048, 0.5048, 0.1637)
Mg (0.5059, 0.5059, 0.9379)
Mg (0.5161, 0.0016, 0.1016)
Mg (0.5174, 0.0002, 0.0001)
Mg (0.8283, 0.3444, 0.6005)
Mg (0.8297, 0.3434, 0.4985)
Mg (0.8390, 0.8390, 0.4375)
Mg (0.8391, 0.8391, 0.6626)
Co (0.9996, 0.4956, 0.2416)
Co (0.0049, 0.5047, 0.4776)
Co (0.0059, 0.0059, 0.4773)
Co (0.0075, 0.0075, 0.6239)
Co (0.0067, 0.5030, 0.6240)
Co (0.0153, 0.4869, 0.8554)
Co (0.0157, 0.0157, 0.2433)
Co (0.0155, 0.0155, 0.8553)
Co (0.3296, 0.3296, 0.7455)
Co (0.3299, 0.8580, 0.7454)
Co (0.3324, 0.8466, 0.3567)
Co (0.3331, 0.3331, 0.3614)
Co (0.3375, 0.8427, 0.9768)
Co (0.3376, 0.3376, 0.9768)
Co (0.3382, 0.8416, 0.1226)
Co (0.3386, 0.3386, 0.1236)
Co (0.4869, 0.0153, 0.8554)
Co (0.4956, 0.9996, 0.2416)
Co (0.5030, 0.0067, 0.6240)
Co (0.5047, 0.0049, 0.4776)
Co (0.8416, 0.3382, 0.1226)
Co (0.8427, 0.3375, 0.9768)
Co (0.8466, 0.3324, 0.3567)
Co (0.8580, 0.3299, 0.7454)
Sn (0.0213, 0.0213, 0.7729)
Sn (0.0211, 0.4754, 0.7730)
Sn (0.0615, 0.3948, 0.5499)
Sn (0.0616, 0.0616, 0.5497)
Sn (0.0621, 0.7278, 0.8380)
Sn (0.0627, 0.7268, 0.2655)
Sn (0.0696, 0.7238, 0.5932)
Sn (0.0754, 0.7208, 0.5063)
Sn (0.1628, 0.5169, 0.9189)
Sn (0.1626, 0.8378, 0.9188)
Sn (0.1682, 0.8386, 0.1830)
Sn (0.1702, 0.5143, 0.1845)
Sn (0.1714, 0.1714, 0.3660)
Sn (0.1706, 0.5111, 0.4174)
Sn (0.1725, 0.1725, 0.1400)
Sn (0.1723, 0.1723, 0.4577)
Sn (0.1725, 0.1725, 0.7222)
Sn (0.1716, 0.8369, 0.4159)
Sn (0.1726, 0.1726, 0.6366)
Sn (0.1726, 0.1726, 0.8782)
Sn (0.1725, 0.1725, 0.9639)
Sn (0.1824, 0.5076, 0.6819)
Sn (0.1820, 0.8276, 0.6819)
Sn (0.1852, 0.1852, 0.2263)
Sn (0.2714, 0.6172, 0.3370)
Sn (0.2707, 0.6231, 0.0944)
Sn (0.2762, 0.6209, 0.0075)
Sn (0.2832, 0.6173, 0.7627)
Sn (0.2837, 0.2837, 0.0506)
Sn (0.2836, 0.9505, 0.0503)
Sn (0.3071, 0.9015, 0.2815)
Sn (0.3242, 0.3242, 0.8277)
Sn (0.3242, 0.8690, 0.8277)
Sn (0.3948, 0.0615, 0.5499)
Sn (0.4754, 0.0211, 0.7730)
Sn (0.5051, 0.8373, 0.4162)
Sn (0.5056, 0.5056, 0.4530)
Sn (0.5058, 0.5058, 0.5499)
Sn (0.5058, 0.5058, 0.6449)
Sn (0.5060, 0.5060, 0.8505)
Sn (0.5074, 0.8276, 0.6819)
Sn (0.5076, 0.1824, 0.6819)
Sn (0.5093, 0.5093, 0.2527)
Sn (0.5111, 0.1706, 0.4174)
Sn (0.5143, 0.1702, 0.1845)
Sn (0.5155, 0.8319, 0.1821)
Sn (0.5169, 0.1628, 0.9189)
Sn (0.5170, 0.8374, 0.9188)
Sn (0.6172, 0.2714, 0.3370)
Sn (0.6173, 0.2832, 0.7627)
Sn (0.6179, 0.6179, 0.7627)
Sn (0.6209, 0.2762, 0.0075)
Sn (0.6213, 0.6213, 0.0073)
Sn (0.6231, 0.2707, 0.0944)
Sn (0.6227, 0.6227, 0.0939)
Sn (0.6256, 0.6256, 0.3391)
Sn (0.7208, 0.0754, 0.5063)
Sn (0.7206, 0.7206, 0.5062)
Sn (0.7238, 0.0696, 0.5932)
Sn (0.7235, 0.7235, 0.5932)
Sn (0.7268, 0.0627, 0.2655)
Sn (0.7270, 0.7270, 0.2673)
Sn (0.7278, 0.0621, 0.8380)
Sn (0.7275, 0.7275, 0.8381)
Sn (0.8276, 0.1820, 0.6819)
Sn (0.8276, 0.5074, 0.6819)
Sn (0.8319, 0.5155, 0.1821)
Sn (0.8369, 0.1716, 0.4159)
Sn (0.8373, 0.5051, 0.4162)
Sn (0.8374, 0.5170, 0.9188)
Sn (0.8378, 0.1626, 0.9188)
Sn (0.8381, 0.8381, 0.0490)
Sn (0.8376, 0.8376, 0.3486)
Sn (0.8386, 0.1682, 0.1830)
Sn (0.8388, 0.8388, 0.1460)
Sn (0.8392, 0.8392, 0.7503)
Sn (0.8393, 0.8393, 0.9550)
Sn (0.8690, 0.3242, 0.8277)
Sn (0.9015, 0.3071, 0.2815)
Sn (0.9505, 0.2836, 0.0503)

Summary:
V, Å³/atom: 22.2
Calculated formation energy, eV/atom: -0.068
E_tot, eV/atom: -4.376

(6)
Material: KIBr2O
Method: DFT, GGA-PBE
State: relaxed

Cell: 11.8595 5.1785 12.8870 Å, 90.00 94.28 90.00°
Sites, in units of the cell vectors:
K (0.1676, 0.0000, 0.2951)
K (0.3256, 0.5000, 0.7568)
K (0.6744, 0.5000, 0.2432)
K (0.8324, 0.0000, 0.7049)
I (0.0000, 0.5000, 0.0000)
I (0.0000, 0.5000, 0.5000)
I (0.5000, 0.0000, 0.0000)
I (0.5000, 0.0000, 0.5000)
Br (0.0408, 0.5000, 0.7132)
Br (0.2269, 0.5000, 0.1027)
Br (0.2907, 0.0000, 0.5742)
Br (0.4811, 0.0000, 0.2089)
Br (0.5189, 0.0000, 0.7911)
Br (0.7093, 0.0000, 0.4258)
Br (0.7731, 0.5000, 0.8973)
Br (0.9592, 0.5000, 0.2868)
O (0.2363, 0.5000, 0.2394)
O (0.3001, 0.0000, 0.7749)
O (0.6999, 0.0000, 0.2251)
O (0.7637, 0.5000, 0.7606)

Summary:
V, Å³/atom: 39.5
Calculated formation energy, eV/atom: -0.575
Relative energy among the computed polymorphs, eV per atom: 0.0000
E_tot, eV/atom: -2.609